Here is a relaxed structure of Na10Hf4Si9Ge4S3O48 from the Materials Project. Energies are from GGA-PBE.

Properties
- ΔH_f (0 K) (eV per atom) = -2.742
- crystal system = triclinic

Unit cell a=17.8050 b=8.9144 c=22.3819 alpha=90.35 beta=89.65 gamma=120.15
Fractional positions:
Na (0.3195, 0.0008, 0.2491)
Na (0.8196, 0.0007, 0.2505)
Na (0.1842, 0.9933, 0.7451)
Na (0.6814, 0.9964, 0.7450)
Na (0.0182, 0.7050, 0.5799)
Na (0.5201, 0.7012, 0.5791)
Na (0.0207, 0.3303, 0.0796)
Na (0.5131, 0.3303, 0.0814)
Na (0.4842, 0.6633, 0.9160)
Na (0.3463, 0.0265, 0.9174)
Na (0.8507, 0.0422, 0.9130)
Na (0.1662, 0.3068, 0.9216)
Na (0.4835, 0.3022, 0.4158)
Na (0.9838, 0.3019, 0.4165)
Na (0.1672, 0.0298, 0.4204)
Na (0.6640, 0.0337, 0.4170)
Na (0.3528, 0.6709, 0.4158)
Na (0.8486, 0.6649, 0.4173)
Na (0.0017, 0.0036, 0.5004)
Na (0.5005, 0.0056, 0.5021)
Na (0.0078, 0.0018, 0.0014)
Na (0.5050, 0.0052, 0.0010)
Na (0.3415, 0.3418, 0.8310)
Na (0.8448, 0.3469, 0.8301)
Na (0.3388, 0.3511, 0.3302)
Na (0.8382, 0.3507, 0.3328)
Na (0.1744, 0.6607, 0.1696)
Na (0.6702, 0.6597, 0.1705)
Na (0.1765, 0.6743, 0.6671)
Na (0.6756, 0.6702, 0.6622)
Hf (0.9958, 0.9963, 0.3533)
Hf (0.9969, 0.9942, 0.8494)
Hf (0.4953, 0.9967, 0.8519)
Hf (0.9939, 0.9824, 0.6433)
Hf (0.9991, 0.0118, 0.1491)
Hf (0.8288, 0.3352, 0.1891)
Hf (0.8266, 0.3208, 0.9819)
Hf (0.1747, 0.6741, 0.0220)
Hf (0.6650, 0.6660, 0.0231)
Hf (0.1766, 0.6785, 0.5218)
Hf (0.1694, 0.6722, 0.8140)
Hf (0.6590, 0.6664, 0.8098)
Si (0.3586, 0.7121, 0.2496)
Si (0.8455, 0.7013, 0.2533)
Si (0.0068, 0.3141, 0.2531)
Si (0.5014, 0.2986, 0.2519)
Si (0.9945, 0.6896, 0.7460)
Si (0.4916, 0.6950, 0.7458)
Si (0.3591, 0.0094, 0.7431)
Si (0.8522, 0.0099, 0.7480)
Si (0.1948, 0.0596, 0.5832)
Si (0.6890, 0.0471, 0.5839)
Si (0.3325, 0.6091, 0.5855)
Si (0.8238, 0.6032, 0.5805)
Si (0.3307, 0.0538, 0.0872)
Si (0.8323, 0.0358, 0.0857)
Si (0.1955, 0.3325, 0.0851)
Si (0.6784, 0.3190, 0.0871)
Si (0.3134, 0.6559, 0.9175)
Si (0.0196, 0.3782, 0.9181)
Si (0.5165, 0.3703, 0.9205)
Si (0.1646, 0.9577, 0.9185)
Si (0.6657, 0.9612, 0.9158)
Si (0.3128, 0.9611, 0.4122)
Si (0.8054, 0.9536, 0.4170)
Si (0.1693, 0.3794, 0.4182)
Si (0.6637, 0.3791, 0.4178)
Si (0.0223, 0.6580, 0.4181)
Si (0.5260, 0.6676, 0.4177)
Ge (0.4937, 0.9969, 0.3523)
Ge (0.4930, 0.9650, 0.6448)
Ge (0.4907, 0.0224, 0.1486)
Ge (0.3382, 0.3322, 0.6833)
Ge (0.8311, 0.3320, 0.6842)
Ge (0.3365, 0.3465, 0.1867)
Ge (0.3262, 0.3139, 0.9785)
Ge (0.3299, 0.3409, 0.4777)
Ge (0.8227, 0.3308, 0.4771)
Ge (0.6742, 0.6771, 0.5175)
Ge (0.1697, 0.6490, 0.3179)
Ge (0.6648, 0.6452, 0.3177)
S (0.1487, 0.0007, 0.2499)
S (0.6381, 0.9932, 0.2507)
S (0.1479, 0.2933, 0.7474)
S (0.6453, 0.2885, 0.7460)
S (0.4787, 0.3290, 0.5819)
S (0.9746, 0.3311, 0.5824)
S (0.4749, 0.6275, 0.0847)
S (0.9784, 0.6264, 0.0841)
S (0.8103, 0.6634, 0.9157)
O (0.1076, 0.0220, 0.3051)
O (0.6023, 0.0250, 0.3077)
O (0.4172, 0.7966, 0.3111)
O (0.9044, 0.7879, 0.3129)
O (0.4800, 0.1632, 0.3090)
O (0.9889, 0.1847, 0.3099)
O (0.1062, 0.1881, 0.8030)
O (0.6065, 0.1819, 0.8007)
O (0.4822, 0.7856, 0.8063)
O (0.9817, 0.7886, 0.8042)
O (0.4119, 0.0405, 0.8056)
O (0.9073, 0.0365, 0.8098)
O (0.4118, 0.9826, 0.6868)
O (0.9037, 0.9869, 0.6922)
O (0.0939, 0.2054, 0.6952)
O (0.5925, 0.2103, 0.6928)
O (0.0165, 0.8202, 0.6885)
O (0.5199, 0.8309, 0.6889)
O (0.4054, 0.8482, 0.1926)
O (0.8962, 0.8316, 0.1971)
O (0.0196, 0.2225, 0.1926)
O (0.5187, 0.2162, 0.1907)
O (0.0945, 0.9797, 0.1974)
O (0.5867, 0.9756, 0.1976)
O (0.4386, 0.3622, 0.6360)
O (0.9338, 0.3594, 0.6364)
O (0.2513, 0.1439, 0.6443)
O (0.7484, 0.1337, 0.6439)
O (0.3227, 0.4899, 0.6425)
O (0.8151, 0.4879, 0.6395)
O (0.4380, 0.5114, 0.1380)
O (0.9356, 0.5162, 0.1370)
O (0.3239, 0.1518, 0.1476)
O (0.8231, 0.1297, 0.1453)
O (0.2565, 0.3655, 0.1436)
O (0.7430, 0.3580, 0.1425)
O (0.2383, 0.3086, 0.0225)
O (0.7247, 0.2978, 0.0268)
O (0.4260, 0.5503, 0.0291)
O (0.9266, 0.5484, 0.0295)
O (0.3538, 0.1753, 0.0261)
O (0.8498, 0.1585, 0.0265)
O (0.2408, 0.1700, 0.5212)
O (0.7315, 0.1630, 0.5228)
O (0.3551, 0.5356, 0.5231)
O (0.8496, 0.5261, 0.5207)
O (0.4267, 0.3024, 0.5268)
O (0.9244, 0.3047, 0.5269)
O (0.2732, 0.7063, 0.9742)
O (0.7707, 0.6914, 0.9699)
O (0.0785, 0.4558, 0.9785)
O (0.5739, 0.4557, 0.9799)
O (0.1496, 0.8371, 0.9755)
O (0.6521, 0.8357, 0.9723)
O (0.2739, 0.8359, 0.4702)
O (0.7676, 0.8250, 0.4746)
O (0.1456, 0.4603, 0.4747)
O (0.6412, 0.4658, 0.4748)
O (0.0795, 0.6991, 0.4788)
O (0.5860, 0.7079, 0.4784)
O (0.0707, 0.6223, 0.3612)
O (0.5690, 0.6218, 0.3605)
O (0.2474, 0.8725, 0.3545)
O (0.7445, 0.8708, 0.3572)
O (0.1942, 0.5063, 0.3596)
O (0.6921, 0.5068, 0.3597)
O (0.0689, 0.4932, 0.8597)
O (0.5624, 0.4979, 0.8631)
O (0.1874, 0.8837, 0.8577)
O (0.6846, 0.8753, 0.8566)
O (0.2515, 0.6161, 0.8598)
O (0.7588, 0.6393, 0.8620)
O (0.0115, 0.8294, 0.4107)
O (0.5142, 0.8405, 0.4089)
O (0.4099, 0.9787, 0.4076)
O (0.9042, 0.9823, 0.4128)
O (0.0870, 0.1837, 0.4108)
O (0.5788, 0.1818, 0.4072)
O (0.0068, 0.1807, 0.9120)
O (0.5024, 0.1776, 0.9128)
O (0.0840, 0.9936, 0.9102)
O (0.5795, 0.9745, 0.9099)
O (0.4081, 0.8292, 0.9111)
O (0.8970, 0.8256, 0.9119)
O (0.4891, 0.1766, 0.5879)
O (0.9872, 0.1805, 0.5881)
O (0.0968, 0.0357, 0.5851)
O (0.5889, 0.0245, 0.5917)
O (0.4227, 0.8061, 0.5884)
O (0.9135, 0.7970, 0.5853)
O (0.4854, 0.7997, 0.0924)
O (0.9899, 0.8004, 0.0907)
O (0.4198, 0.0351, 0.0911)
O (0.9222, 0.0259, 0.0866)
O (0.0979, 0.1585, 0.0891)
O (0.5820, 0.1381, 0.0943)
O (0.3431, 0.1777, 0.7374)
O (0.8362, 0.1768, 0.7408)
O (0.2332, 0.3019, 0.7455)
O (0.7327, 0.3028, 0.7429)
O (0.4067, 0.5033, 0.7382)
O (0.9056, 0.5024, 0.7373)
O (0.3481, 0.5181, 0.2411)
O (0.8359, 0.5120, 0.2485)
O (0.4102, 0.3070, 0.2437)
O (0.9155, 0.3147, 0.2474)
O (0.2363, 0.1602, 0.2469)
O (0.7286, 0.1494, 0.2476)
O (0.3250, 0.4868, 0.9268)
O (0.8234, 0.5143, 0.9220)
O (0.4209, 0.3581, 0.9268)
O (0.9233, 0.3573, 0.9218)
O (0.2546, 0.1500, 0.9235)
O (0.7537, 0.1504, 0.9194)
O (0.3247, 0.1557, 0.4220)
O (0.8179, 0.1502, 0.4258)
O (0.2582, 0.3642, 0.4228)
O (0.7504, 0.3559, 0.4233)
O (0.4277, 0.4919, 0.4255)
O (0.9232, 0.4823, 0.4236)
O (0.1764, 0.4951, 0.0818)
O (0.6633, 0.4850, 0.0816)
O (0.0633, 0.6348, 0.0807)
O (0.5627, 0.6418, 0.0805)
O (0.2460, 0.8626, 0.0842)
O (0.7478, 0.8452, 0.0808)
O (0.1775, 0.8598, 0.5808)
O (0.6734, 0.8458, 0.5766)
O (0.2481, 0.6319, 0.5821)
O (0.7384, 0.6279, 0.5741)
O (0.0612, 0.4920, 0.5799)
O (0.5642, 0.4930, 0.5787)
O (0.1586, 0.8466, 0.2529)
O (0.6497, 0.8412, 0.2546)
O (0.2639, 0.7050, 0.2582)
O (0.7528, 0.7031, 0.2591)
O (0.0954, 0.5045, 0.2590)
O (0.5880, 0.4893, 0.2603)
O (0.1574, 0.4657, 0.7517)
O (0.6574, 0.4639, 0.7543)
O (0.0837, 0.6817, 0.7527)
O (0.5810, 0.6834, 0.7503)
O (0.2622, 0.8375, 0.7488)
O (0.7568, 0.8329, 0.7526)

=====

Here is a relaxed structure of Na4HfSi3GeO12 from the Materials Project. Energies are from GGA-PBE.

Properties
- ΔH_f (0 K) (eV per atom) = -2.878
- crystal system = trigonal

Unit cell a=9.0069 b=9.0069 c=22.0820 alpha=90.00 beta=90.00 gamma=120.00
Fractional positions:
Na (0.6282, 0.9997, 0.2507)
Na (0.3715, 0.3718, 0.2507)
Na (0.0003, 0.6285, 0.2507)
Na (0.6326, 0.6303, 0.7468)
Na (0.9977, 0.3674, 0.7468)
Na (0.3697, 0.0023, 0.7468)
Na (0.2948, 0.3333, 0.5828)
Na (0.0385, 0.7052, 0.5828)
Na (0.6667, 0.9615, 0.5828)
Na (0.3013, 0.9696, 0.0855)
Na (0.6683, 0.6987, 0.0855)
Na (0.0304, 0.3317, 0.0855)
Na (0.9685, 0.6673, 0.9164)
Na (0.6987, 0.0315, 0.9164)
Na (0.3327, 0.3013, 0.9164)
Na (0.9648, 0.2984, 0.4177)
Na (0.3336, 0.0352, 0.4177)
Na (0.7016, 0.6664, 0.4177)
Na (0.0000, 0.0000, 0.5003)
Na (0.0000, 0.0000, 0.0012)
Na (0.6667, 0.3333, 0.8307)
Na (0.6667, 0.3333, 0.3376)
Na (0.3333, 0.6667, 0.1673)
Na (0.3333, 0.6667, 0.6625)
Hf (0.0000, 0.0000, 0.8490)
Hf (0.6667, 0.3333, 0.1903)
Hf (0.6667, 0.3333, 0.9829)
Hf (0.3333, 0.6667, 0.0203)
Hf (0.3333, 0.6667, 0.3149)
Hf (0.3333, 0.6667, 0.8094)
Si (0.2764, 0.9990, 0.2518)
Si (0.7226, 0.7236, 0.2518)
Si (0.0010, 0.2774, 0.2518)
Si (0.2945, 0.2865, 0.7433)
Si (0.9920, 0.7055, 0.7433)
Si (0.7135, 0.0080, 0.7433)
Si (0.9541, 0.3338, 0.5825)
Si (0.3798, 0.0459, 0.5825)
Si (0.6662, 0.6202, 0.5825)
Si (0.9623, 0.6363, 0.0867)
Si (0.6741, 0.0377, 0.0867)
Si (0.3637, 0.3259, 0.0867)
Si (0.6285, 0.6665, 0.9157)
Si (0.0379, 0.3715, 0.9157)
Si (0.3335, 0.9621, 0.9157)
Si (0.6263, 0.9608, 0.4199)
Si (0.3345, 0.3737, 0.4199)
Si (0.0392, 0.6655, 0.4199)
Ge (0.0000, 0.0000, 0.3560)
Ge (0.0000, 0.0000, 0.6438)
Ge (0.0000, 0.0000, 0.1478)
Ge (0.6667, 0.3333, 0.6830)
Ge (0.6667, 0.3333, 0.4825)
Ge (0.3333, 0.6667, 0.5196)
O (0.1938, 0.0327, 0.3131)
O (0.8389, 0.8062, 0.3131)
O (0.9673, 0.1611, 0.3131)
O (0.2165, 0.1730, 0.8052)
O (0.9565, 0.7835, 0.8052)
O (0.8270, 0.0435, 0.8052)
O (0.8043, 0.9680, 0.6860)
O (0.1637, 0.1957, 0.6860)
O (0.0320, 0.8363, 0.6860)
O (0.8044, 0.8383, 0.1903)
O (0.0340, 0.1956, 0.1903)
O (0.1617, 0.9660, 0.1903)
O (0.8702, 0.3750, 0.6421)
O (0.5048, 0.1298, 0.6421)
O (0.6250, 0.4952, 0.6421)
O (0.8742, 0.5113, 0.1447)
O (0.6371, 0.1258, 0.1447)
O (0.4887, 0.3629, 0.1447)
O (0.4504, 0.2930, 0.0265)
O (0.8425, 0.5496, 0.0265)
O (0.7070, 0.1575, 0.0265)
O (0.4651, 0.1718, 0.5236)
O (0.7067, 0.5349, 0.5236)
O (0.8282, 0.2933, 0.5236)
O (0.5422, 0.6968, 0.9757)
O (0.1546, 0.4578, 0.9757)
O (0.3032, 0.8454, 0.9757)
O (0.5352, 0.8291, 0.4779)
O (0.2939, 0.4648, 0.4779)
O (0.1709, 0.7061, 0.4779)
O (0.1187, 0.6254, 0.3594)
O (0.5067, 0.8813, 0.3594)
O (0.3746, 0.4933, 0.3594)
O (0.1268, 0.4902, 0.8559)
O (0.3634, 0.8732, 0.8559)
O (0.5098, 0.6366, 0.8559)
O (0.0227, 0.8405, 0.4141)
O (0.8178, 0.9773, 0.4141)
O (0.1595, 0.1822, 0.4141)
O (0.0206, 0.1832, 0.9118)
O (0.1627, 0.9794, 0.9118)
O (0.8168, 0.8373, 0.9118)
O (0.9741, 0.1597, 0.5873)
O (0.1856, 0.0259, 0.5873)
O (0.8403, 0.8144, 0.5873)
O (0.9760, 0.8242, 0.0908)
O (0.8482, 0.0240, 0.0908)
O (0.1758, 0.1518, 0.0908)
O (0.6957, 0.1813, 0.7391)
O (0.4856, 0.3043, 0.7391)
O (0.8187, 0.5144, 0.7391)
O (0.7002, 0.5308, 0.2495)
O (0.8306, 0.2998, 0.2495)
O (0.4692, 0.1694, 0.2495)
O (0.6450, 0.4951, 0.9200)
O (0.8500, 0.3550, 0.9200)
O (0.5049, 0.1500, 0.9200)
O (0.6442, 0.1525, 0.4258)
O (0.5082, 0.3558, 0.4258)
O (0.8475, 0.4918, 0.4258)
O (0.3438, 0.4957, 0.0823)
O (0.1519, 0.6562, 0.0823)
O (0.5043, 0.8481, 0.0823)
O (0.3608, 0.8521, 0.5772)
O (0.4913, 0.6392, 0.5772)
O (0.1479, 0.5087, 0.5772)
O (0.2981, 0.8281, 0.2543)
O (0.5300, 0.7019, 0.2543)
O (0.1719, 0.4700, 0.2543)
O (0.3134, 0.4772, 0.7480)
O (0.1638, 0.6866, 0.7480)
O (0.5228, 0.8362, 0.7480)

=====

Here is a relaxed structure of Hf2Nb3Ge4 from the Materials Project. Energies are from GGA-PBE.

Properties
- ΔH_f (0 K) (eV per atom) = -0.632
- crystal system = orthorhombic

Unit cell a=6.8216 b=6.9801 c=13.2690 alpha=90.00 beta=90.00 gamma=90.00
Fractional positions:
Hf (0.4873, 0.6746, 0.5909)
Hf (0.9873, 0.8254, 0.9091)
Hf (0.5127, 0.3254, 0.0909)
Hf (0.0127, 0.1746, 0.4091)
Hf (0.5127, 0.3254, 0.4091)
Hf (0.0127, 0.1746, 0.0909)
Hf (0.4873, 0.6746, 0.9091)
Hf (0.9873, 0.8254, 0.5909)
Nb (0.6587, 0.1648, 0.6246)
Nb (0.1587, 0.3352, 0.8754)
Nb (0.3413, 0.8352, 0.1246)
Nb (0.8413, 0.6649, 0.3754)
Nb (0.3413, 0.8352, 0.3754)
Nb (0.8413, 0.6649, 0.1246)
Nb (0.6587, 0.1648, 0.8754)
Nb (0.1587, 0.3352, 0.6246)
Nb (0.8337, 0.4952, 0.7500)
Nb (0.3337, 0.0048, 0.7500)
Nb (0.1663, 0.5048, 0.2500)
Nb (0.6663, 0.9952, 0.2500)
Ge (0.6841, 0.9618, 0.4593)
Ge (0.1841, 0.5382, 0.0407)
Ge (0.3159, 0.0382, 0.9593)
Ge (0.8159, 0.4618, 0.5407)
Ge (0.3159, 0.0382, 0.5407)
Ge (0.8159, 0.4618, 0.9593)
Ge (0.6841, 0.9618, 0.0407)
Ge (0.1841, 0.5382, 0.4593)
Ge (0.4613, 0.3871, 0.7500)
Ge (0.9613, 0.1129, 0.7500)
Ge (0.5387, 0.6129, 0.2500)
Ge (0.0387, 0.8871, 0.2500)
Ge (0.6906, 0.8507, 0.7500)
Ge (0.1906, 0.6493, 0.7500)
Ge (0.3094, 0.1493, 0.2500)
Ge (0.8094, 0.3507, 0.2500)

=====

Here is a relaxed structure of Hf3Nb2Ge4 from the Materials Project. Energies are from GGA-PBE.

Properties
- ΔH_f (0 K) (eV per atom) = -0.652
- crystal system = orthorhombic

Unit cell a=6.9015 b=7.0150 c=13.3344 alpha=90.00 beta=90.00 gamma=90.00
Fractional positions:
Hf (0.9872, 0.8264, 0.5927)
Hf (0.1698, 0.5059, 0.2500)
Hf (0.4872, 0.6736, 0.9073)
Hf (0.5128, 0.3264, 0.0927)
Hf (0.6698, 0.9941, 0.2500)
Hf (0.8302, 0.4941, 0.7500)
Hf (0.3302, 0.0059, 0.7500)
Hf (0.4872, 0.6736, 0.5927)
Hf (0.9872, 0.8264, 0.9073)
Hf (0.5128, 0.3264, 0.4073)
Hf (0.0128, 0.1736, 0.0927)
Hf (0.0128, 0.1736, 0.4073)
Nb (0.6572, 0.1712, 0.6229)
Nb (0.1572, 0.3288, 0.6229)
Nb (0.3428, 0.8288, 0.1229)
Nb (0.8428, 0.6712, 0.1229)
Nb (0.6572, 0.1712, 0.8771)
Nb (0.1572, 0.3288, 0.8771)
Nb (0.3428, 0.8288, 0.3771)
Nb (0.8428, 0.6712, 0.3771)
Ge (0.9540, 0.1152, 0.7500)
Ge (0.8163, 0.4645, 0.9617)
Ge (0.8092, 0.3546, 0.2500)
Ge (0.6908, 0.8546, 0.7500)
Ge (0.5460, 0.6152, 0.2500)
Ge (0.6837, 0.9645, 0.4617)
Ge (0.3163, 0.0355, 0.9617)
Ge (0.8163, 0.4645, 0.5383)
Ge (0.0460, 0.8848, 0.2500)
Ge (0.1837, 0.5355, 0.0383)
Ge (0.3163, 0.0355, 0.5383)
Ge (0.1908, 0.6454, 0.7500)
Ge (0.6837, 0.9645, 0.0383)
Ge (0.3092, 0.1454, 0.2500)
Ge (0.4540, 0.3848, 0.7500)
Ge (0.1837, 0.5355, 0.4617)